Compound: NdOF
Source: Materials Project
Functional: PBE-GGA
Structure: optimized geometry

```
data_NdOF
_chemical_formula_sum 'Nd6 O6 F6'
_cell_length_a 3.9874
_cell_length_b 3.9874
_cell_length_c 19.9094
_cell_angle_alpha 90.00
_cell_angle_beta 90.00
_cell_angle_gamma 120.00
_symmetry_space_group_name_H-M 'R -3 m'
_symmetry_Int_Tables_number 166
_symmetry_space_group_name_Hall '-R 3 2"'
loop_
_atom_site_label
_atom_site_fract_x
_atom_site_fract_y
_atom_site_fract_z
Nd1 0.0000 0.0000 0.2415
O1 0.0000 0.0000 0.1220
F1 0.0000 0.0000 0.3700
```

Results
E_tot = -137.716 eV for the cell shown
Energy of formation = -4.157 eV/atom

=====

Compound: Nd2SeOF2
Source: Materials Project
Functional: PBE-GGA
Structure: optimized geometry

```
data_Nd2SeOF2
_chemical_formula_sum 'Nd12 Se6 O6 F12'
_cell_length_a 13.9258
_cell_length_b 13.9258
_cell_length_c 3.9081
_cell_angle_alpha 90.00
_cell_angle_beta 90.00
_cell_angle_gamma 120.00
_symmetry_space_group_name_H-M 'P 63/m'
_symmetry_Int_Tables_number 176
_symmetry_space_group_name_Hall '-P 6c'
loop_
_atom_site_label
_atom_site_fract_x
_atom_site_fract_y
_atom_site_fract_z
Nd1 0.0550 0.2897 0.2500
Nd2 0.1186 0.6029 0.2500
Se1 0.2053 0.4872 0.7500
O1 0.0149 0.5873 0.7500
F1 0.0678 0.7518 0.2500
F2 0.1020 0.2107 0.7500
```

Results
E_tot = -251.332 eV for the cell shown
Energy of formation = -3.615 eV/atom
Spin magnetization = 0.00 μB/f.u.

=====

Compound: NdTa2O6F
Source: Materials Project
Functional: PBE-GGA
Structure: optimized geometry

```
data_NdTa2O6F
_chemical_formula_sum 'Nd4 Ta8 O24 F4'
_cell_length_a 7.3805
_cell_length_b 7.5906
_cell_length_c 10.4536
_cell_angle_alpha 90.00
_cell_angle_beta 90.00
_cell_angle_gamma 90.00
_symmetry_space_group_name_H-M 'I m m a'
_symmetry_Int_Tables_number 74
_symmetry_space_group_name_Hall '-I 2b 2'
loop_
_atom_site_label
_atom_site_fract_x
_atom_site_fract_y
_atom_site_fract_z
Nd1 0.0000 0.0000 0.0000
Ta1 0.0000 0.0000 0.5000
Ta2 0.2500 0.2500 0.2500
O1 0.0000 0.2500 0.1737
O2 0.0000 0.2500 0.5530
O3 0.2016 0.0651 0.3793
F1 0.0000 0.2500 0.8846
```

Results
E_tot = -365.494 eV for the cell shown
Energy of formation = -3.587 eV/atom
Spin magnetization = 0.00 μB/f.u.

=====

Compound: NdPb8F19
Source: Materials Project
Functional: PBE-GGA
Structure: optimized geometry

```
data_NdPb8F19
_chemical_formula_sum 'Nd2 Pb16 F38'
_cell_length_a 7.1614
_cell_length_b 4.1989
_cell_length_c 32.1701
_cell_angle_alpha 90.00
_cell_angle_beta 90.65
_cell_angle_gamma 90.00
_symmetry_space_group_name_H-M 'C 1 m 1'
_symmetry_Int_Tables_number 8
loop_
_symmetry_equiv_pos_as_xyz
'x,y,z'
'x,-y,z'
'x+1/2,y+1/2,z'
'x+1/2,-y+1/2,z'
loop_
_atom_site_label
_atom_site_fract_x
_atom_site_fract_y
_atom_site_fract_z
Nd1 0.0000 0.0000 0.0000
Pb1 0.0089 0.0000 0.3165
Pb2 0.0294 0.0000 0.6516
Pb3 0.1551 0.5000 0.0997
Pb4 0.1819 0.5000 0.4267
Pb5 0.2068 0.5000 0.7616
Pb6 0.3237 0.0000 0.8828
Pb7 0.3324 0.0000 0.2072
Pb8 0.3566 0.0000 0.5385
F1 0.0140 0.0000 0.3974
F2 0.0282 0.0000 0.5665
F3 0.0301 0.0000 0.7302
F4 0.1451 0.5000 0.9130
F5 0.1541 0.5000 0.0063
F6 0.1637 0.5000 0.1777
F7 0.1762 0.5000 0.3441
F8 0.1902 0.5000 0.6819
F9 0.1951 0.5000 0.5089
F10 0.3082 0.0000 0.0380
F11 0.3160 0.0000 0.9618
F12 0.3197 0.0000 0.1287
F13 0.3417 0.0000 0.2884
F14 0.3490 0.0000 0.4548
F15 0.3575 0.0000 0.6226
F16 0.3650 0.0000 0.7870
F17 0.4757 0.5000 0.8570
F18 0.4818 0.5000 0.0726
F19 0.4991 0.5000 0.2337
```

Results
E_tot = -285.105 eV for the cell shown
Energy of formation = -2.874 eV/atom
Spin magnetization = 0.00 μB/f.u.

=====

Compound: Nd2Pb5F16
Source: Materials Project
Functional: PBE-GGA
Structure: optimized geometry

```
data_Nd2Pb5F16
_chemical_formula_sum 'Nd4 Pb10 F32'
_cell_length_a 7.3677
_cell_length_b 4.1123
_cell_length_c 24.8002
_cell_angle_alpha 90.00
_cell_angle_beta 94.89
_cell_angle_gamma 90.00
_symmetry_space_group_name_H-M 'C 1 m 1'
_symmetry_Int_Tables_number 8
loop_
_symmetry_equiv_pos_as_xyz
'x,y,z'
'x,-y,z'
'x+1/2,y+1/2,z'
'x+1/2,-y+1/2,z'
loop_
_atom_site_label
_atom_site_fract_x
_atom_site_fract_y
_atom_site_fract_z
Nd1 0.0000 0.0000 0.0000
Nd2 0.0908 0.5000 0.1482
Pb1 0.1094 0.5000 0.8568
Pb2 0.2143 0.0000 0.7121
Pb3 0.3335 0.5000 0.5716
Pb4 0.3376 0.0000 0.4276
Pb5 0.4674 0.5000 0.2904
F1 0.0595 0.5000 0.7472
F2 0.1218 0.5000 0.2470
F3 0.1267 0.5000 0.0549
F4 0.1284 0.5000 0.3901
F5 0.1433 0.5000 0.9554
F6 0.1571 0.0000 0.6101
F7 0.2682 0.0000 0.8231
F8 0.2716 0.0000 0.1499
F9 0.3002 0.0000 0.3206
F10 0.3187 0.0000 0.9989
F11 0.3677 0.5000 0.6743
F12 0.4418 0.5000 0.1939
F13 0.4577 0.5000 0.8999
F14 0.4615 0.0000 0.5390
F15 0.4658 0.5000 0.0940
F16 0.4841 0.5000 0.4629
```

Results
E_tot = -252.598 eV for the cell shown
Energy of formation = -3.259 eV/atom
Spin magnetization = 0.01 μB/f.u.

=====

Compound: NdPb6F15
Source: Materials Project
Functional: PBE-GGA
Structure: optimized geometry

```
data_NdPb6F15
_chemical_formula_sum 'Nd2 Pb12 F30'
_cell_length_a 7.2325
_cell_length_b 4.2159
_cell_length_c 24.6219
_cell_angle_alpha 90.00
_cell_angle_beta 95.85
_cell_angle_gamma 90.00
_symmetry_space_group_name_H-M 'C 1 m 1'
_symmetry_Int_Tables_number 8
loop_
_symmetry_equiv_pos_as_xyz
'x,y,z'
'x,-y,z'
'x+1/2,y+1/2,z'
'x+1/2,-y+1/2,z'
loop_
_atom_site_label
_atom_site_fract_x
_atom_site_fract_y
_atom_site_fract_z
Nd1 0.0000 0.0000 0.0000
Pb1 0.1070 0.5000 0.7227
Pb2 0.1857 0.0000 0.4368
Pb3 0.2170 0.5000 0.1447
Pb4 0.3431 0.0000 0.8652
Pb5 0.3965 0.5000 0.5800
Pb6 0.4714 0.0000 0.2945
F1 0.0082 0.5000 0.3979
F2 0.0331 0.0000 0.0995
F3 0.0737 0.5000 0.6145
F4 0.1253 0.5000 0.9475
F5 0.1335 0.5000 0.8248
F6 0.1548 0.0000 0.3313
F7 0.1799 0.5000 0.0471
F8 0.2185 0.0000 0.5428
F9 0.2881 0.0000 0.7592
F10 0.2960 0.5000 0.2596
F11 0.3257 0.0000 0.9971
F12 0.3632 0.5000 0.4718
F13 0.3931 0.0000 0.1751
F14 0.4306 0.5000 0.6859
F15 0.4713 0.5000 0.9017
```

Results
E_tot = -228.154 eV for the cell shown
Energy of formation = -2.966 eV/atom
Spin magnetization = 0.00 μB/f.u.

=====

Compound: NdPb4F11
Source: Materials Project
Functional: PBE-GGA
Structure: optimized geometry

```
data_NdPb4F11
_chemical_formula_sum 'Nd2 Pb8 F22'
_cell_length_a 7.1165
_cell_length_b 4.2247
_cell_length_c 17.6488
_cell_angle_alpha 90.00
_cell_angle_beta 97.51
_cell_angle_gamma 90.00
_symmetry_space_group_name_H-M 'C 1 m 1'
_symmetry_Int_Tables_number 8
loop_
_symmetry_equiv_pos_as_xyz
'x,y,z'
'x,-y,z'
'x+1/2,y+1/2,z'
'x+1/2,-y+1/2,z'
loop_
_atom_site_label
_atom_site_fract_x
_atom_site_fract_y
_atom_site_fract_z
Nd1 0.0000 0.0000 0.0000
Pb1 0.1028 0.5000 0.7961
Pb2 0.2128 0.0000 0.5924
Pb3 0.3331 0.5000 0.3907
Pb4 0.4404 0.0000 0.1905
F1 0.0634 0.5000 0.6421
F2 0.0783 0.0000 0.1387
F3 0.1483 0.5000 0.9327
F4 0.1834 0.0000 0.4416
F5 0.2176 0.5000 0.0717
F6 0.2506 0.0000 0.7456
F7 0.2867 0.5000 0.2453
F8 0.3426 0.0000 0.0032
F9 0.3642 0.5000 0.5404
F10 0.4572 0.5000 0.8577
F11 0.4814 0.0000 0.3360
```

Results
E_tot = -169.617 eV for the cell shown
Energy of formation = -3.076 eV/atom
Spin magnetization = 0.00 μB/f.u.

=====

Compound: RbNdF4
Source: Materials Project
Functional: PBE-GGA
Structure: optimized geometry

```
data_RbNdF4
_chemical_formula_sum 'Rb4 Nd4 F16'
_cell_length_a 6.4407
_cell_length_b 3.7983
_cell_length_c 16.3627
_cell_angle_alpha 90.00
_cell_angle_beta 90.00
_cell_angle_gamma 90.00
_symmetry_space_group_name_H-M 'P n m a'
_symmetry_Int_Tables_number 62
loop_
_symmetry_equiv_pos_as_xyz
'x,y,z'
'-x,-y,-z'
'-x+1/2,-y,z+1/2'
'x+1/2,y,-z+1/2'
'x+1/2,-y+1/2,-z+1/2'
'-x+1/2,y+1/2,z+1/2'
'-x,y+1/2,-z'
'x,-y+1/2,z'
loop_
_atom_site_label
_atom_site_fract_x
_atom_site_fract_y
_atom_site_fract_z
Rb1 0.2259 0.2500 0.1998
Nd1 0.2488 0.7500 0.4424
F1 0.0007 0.2500 0.0543
F2 0.0975 0.2500 0.8147
F3 0.1129 0.2500 0.3709
F4 0.1299 0.2500 0.5355
```

Results
E_tot = -141.147 eV for the cell shown
Energy of formation = -3.955 eV/atom

=====

Compound: Nd2Se2F
Source: Materials Project
Functional: PBE-GGA
Structure: optimized geometry

```
data_Nd2Se2F
_chemical_formula_sum 'Nd2 Se2 F1'
_cell_length_a 3.2471
_cell_length_b 3.2471
_cell_length_c 13.7594
_cell_angle_alpha 90.00
_cell_angle_beta 90.00
_cell_angle_gamma 90.00
_symmetry_space_group_name_H-M 'P 4/m m m'
_symmetry_Int_Tables_number 123
_symmetry_space_group_name_Hall '-P 4 2'
loop_
_atom_site_label
_atom_site_fract_x
_atom_site_fract_y
_atom_site_fract_z
Nd1 0.0000 0.0000 0.1695
Se1 0.0000 0.0000 0.3721
F1 0.0000 0.0000 0.0000
```

Results
E_tot = -22.104 eV for the cell shown
Energy of formation = -0.825 eV/atom
Spin magnetization = 0.01 μB/f.u.

=====

Compound: NdTeF
Source: Materials Project
Functional: PBE-GGA
Structure: optimized geometry

```
data_NdTeF
_chemical_formula_sum 'Nd2 Te2 F2'
_cell_length_a 4.2125
_cell_length_b 4.2125
_cell_length_c 7.6609
_cell_angle_alpha 90.00
_cell_angle_beta 90.00
_cell_angle_gamma 90.00
_symmetry_space_group_name_H-M 'P 4/n m m'
_symmetry_Int_Tables_number 129
loop_
_symmetry_equiv_pos_as_xyz
'x,y,z'
'-x,-y,-z'
'-y+1/2,x,z'
'y+1/2,-x,-z'
'-x+1/2,-y+1/2,z'
'x+1/2,y+1/2,-z'
'y,-x+1/2,z'
'-y,x+1/2,-z'
'x+1/2,-y,-z'
'-x+1/2,y,z'
'-y,-x,-z'
'y,x,z'
'-x,y+1/2,-z'
'x,-y+1/2,z'
'y+1/2,x+1/2,-z'
'-y+1/2,-x+1/2,z'
loop_
_atom_site_label
_atom_site_fract_x
_atom_site_fract_y
_atom_site_fract_z
Nd1 0.2500 0.2500 0.1986
Te1 0.2500 0.2500 0.6402
F1 0.2500 0.7500 0.0000
```

Results
E_tot = -35.135 eV for the cell shown
Energy of formation = -2.734 eV/atom
Spin magnetization = 0.00 μB/f.u.

=====

Compound: NpF4
Source: Materials Project
Functional: PBE-GGA
Structure: optimized geometry

```
data_NpF4
_chemical_formula_sum 'Np12 F48'
_cell_length_a 12.7772
_cell_length_b 10.8573
_cell_length_c 8.3781
_cell_angle_alpha 90.00
_cell_angle_beta 126.66
_cell_angle_gamma 90.00
_symmetry_space_group_name_H-M 'C 1 2/c 1'
_symmetry_Int_Tables_number 15
loop_
_symmetry_equiv_pos_as_xyz
'x,y,z'
'-x,-y,-z'
'-x,y,-z+1/2'
'x,-y,z+1/2'
'x+1/2,y+1/2,z'
'-x+1/2,-y+1/2,-z'
'-x+1/2,y+1/2,-z+1/2'
'x+1/2,-y+1/2,z+1/2'
loop_
_atom_site_label
_atom_site_fract_x
_atom_site_fract_y
_atom_site_fract_z
Np1 0.0000 0.2132 0.2500
Np2 0.2051 0.4278 0.8306
F1 0.0000 0.3964 0.7500
F2 0.1088 0.2933 0.5725
F3 0.1195 0.0544 0.4559
F4 0.1188 0.3784 0.2824
F5 0.1227 0.1510 0.1499
F6 0.2116 0.4699 0.1046
F7 0.2500 0.2500 0.0000
```

Results
E_tot = -455.763 eV for the cell shown
Energy of formation = -3.844 eV/atom

=====

Compound: NpF5
Source: Materials Project
Functional: PBE-GGA
Structure: optimized geometry

```
data_NpF5
_chemical_formula_sum 'Np2 F10'
_cell_length_a 6.8847
_cell_length_b 6.8847
_cell_length_c 4.4959
_cell_angle_alpha 90.00
_cell_angle_beta 90.00
_cell_angle_gamma 90.00
_symmetry_space_group_name_H-M 'I 4/m'
_symmetry_Int_Tables_number 87
_symmetry_space_group_name_Hall '-I 4'
loop_
_atom_site_label
_atom_site_fract_x
_atom_site_fract_y
_atom_site_fract_z
Np1 0.0000 0.0000 0.0000
F1 0.0000 0.0000 0.5000
F2 0.1016 0.7253 0.0000
```

Results
E_tot = -83.991 eV for the cell shown
Energy of formation = -3.631 eV/atom

=====

Compound: NpO2F2
Source: Materials Project
Functional: PBE-GGA
Structure: optimized geometry

```
data_NpO2F2
_chemical_formula_sum 'Np3 O6 F6'
_cell_length_a 4.2251
_cell_length_b 4.2251
_cell_length_c 16.6572
_cell_angle_alpha 90.00
_cell_angle_beta 90.00
_cell_angle_gamma 120.00
_symmetry_space_group_name_H-M 'R -3 m'
_symmetry_Int_Tables_number 166
_symmetry_space_group_name_Hall '-R 3 2"'
loop_
_atom_site_label
_atom_site_fract_x
_atom_site_fract_y
_atom_site_fract_z
Np1 0.0000 0.0000 0.0000
O1 0.0000 0.0000 0.1064
F1 0.0000 0.0000 0.3336
```

Results
E_tot = -124.404 eV for the cell shown
Energy of formation = -3.419 eV/atom
Excess energy over the best structure of this formula in the dataset = 0 meV per atom

=====

Compound: NpO2F2
Source: Materials Project
Functional: PBE-GGA
Structure: optimized geometry

```
data_NpO2F2
_chemical_formula_sum 'Np2 O4 F4'
_cell_length_a 8.4837
_cell_length_b 4.3893
_cell_length_c 3.7806
_cell_angle_alpha 90.00
_cell_angle_beta 97.32
_cell_angle_gamma 90.00
_symmetry_space_group_name_H-M 'C 1 2/m 1'
_symmetry_Int_Tables_number 12
loop_
_symmetry_equiv_pos_as_xyz
'x,y,z'
'-x,-y,-z'
'-x,y,-z'
'x,-y,z'
'x+1/2,y+1/2,z'
'-x+1/2,-y+1/2,-z'
'-x+1/2,y+1/2,-z'
'x+1/2,-y+1/2,z'
loop_
_atom_site_label
_atom_site_fract_x
_atom_site_fract_y
_atom_site_fract_z
Np1 0.0000 0.0000 0.0000
O1 0.0650 0.5000 0.8876
F1 0.1551 0.0000 0.5221
```

Results
E_tot = -77.615 eV for the cell shown
Energy of formation = -2.676 eV/atom
Spin magnetization = 3.00 μB/f.u.
Excess energy over the best structure of this formula in the dataset = 743 meV per atom

=====

Compound: NpO2F2
Source: Materials Project
Functional: PBE-GGA
Structure: optimized geometry

```
data_NpO2F2
_chemical_formula_sum 'Np2 O4 F4'
_cell_length_a 7.4197
_cell_length_b 4.4405
_cell_length_c 3.8132
_cell_angle_alpha 90.00
_cell_angle_beta 97.68
_cell_angle_gamma 90.00
_symmetry_space_group_name_H-M 'C 1 2/m 1'
_symmetry_Int_Tables_number 12
loop_
_symmetry_equiv_pos_as_xyz
'x,y,z'
'-x,-y,-z'
'-x,y,-z'
'x,-y,z'
'x+1/2,y+1/2,z'
'-x+1/2,-y+1/2,-z'
'-x+1/2,y+1/2,-z'
'x+1/2,-y+1/2,z'
loop_
_atom_site_label
_atom_site_fract_x
_atom_site_fract_y
_atom_site_fract_z
Np1 0.0000 0.0000 0.0000
O1 0.0696 0.5000 0.8797
F1 0.1673 0.0000 0.5279
```

Results
E_tot = -76.744 eV for the cell shown
Energy of formation = -2.589 eV/atom
Spin magnetization = 3.00 μB/f.u.
Excess energy over the best structure of this formula in the dataset = 830 meV per atom

=====

Compound: Np3OF12
Source: Materials Project
Functional: PBE-GGA
Structure: optimized geometry

```
data_Np3OF12
_chemical_formula_sum 'Np12 O4 F48'
_cell_length_a 11.9077
_cell_length_b 12.0213
_cell_length_c 8.4934
_cell_angle_alpha 90.00
_cell_angle_beta 128.20
_cell_angle_gamma 90.00
_symmetry_space_group_name_H-M 'C 1 m 1'
_symmetry_Int_Tables_number 8
loop_
_symmetry_equiv_pos_as_xyz
'x,y,z'
'x,-y,z'
'x+1/2,y+1/2,z'
'x+1/2,-y+1/2,z'
loop_
_atom_site_label
_atom_site_fract_x
_atom_site_fract_y
_atom_site_fract_z
Np1 0.0000 0.0000 0.0000
Np2 0.1138 0.3321 0.5472
Np3 0.2511 0.3178 0.1580
Np4 0.3488 0.0000 0.6758
O1 0.0808 0.0000 0.8783
O2 0.2890 0.0000 0.8244
F1 0.0366 0.3901 0.9387
F2 0.0691 0.5000 0.3974
F3 0.1252 0.1694 0.0967
F4 0.1654 0.5000 0.7471
F5 0.1698 0.0000 0.3374
F6 0.1770 0.3295 0.3417
F7 0.1796 0.2751 0.8447
F8 0.2230 0.1718 0.5911
F9 0.2834 0.5000 0.2412
F10 0.3419 0.3805 0.7395
F11 0.4025 0.1783 0.2231
F12 0.4107 0.3936 0.1131
F13 0.4230 0.1084 0.5479
F14 0.4546 0.3145 0.4703
```

Results
E_tot = -475.313 eV for the cell shown
Energy of formation = -3.643 eV/atom
Spin magnetization = 7.00 μB/f.u.

=====

Compound: OF2
Source: Materials Project
Functional: PBE-GGA
Structure: optimized geometry

```
data_OF2
_chemical_formula_sum 'O4 F8'
_cell_length_a 9.0314
_cell_length_b 3.0192
_cell_length_c 5.9706
_cell_angle_alpha 90.00
_cell_angle_beta 90.00
_cell_angle_gamma 90.00
_symmetry_space_group_name_H-M 'P n m a'
_symmetry_Int_Tables_number 62
loop_
_symmetry_equiv_pos_as_xyz
'x,y,z'
'-x,-y,-z'
'-x+1/2,-y,z+1/2'
'x+1/2,y,-z+1/2'
'x+1/2,-y+1/2,-z+1/2'
'-x+1/2,y+1/2,z+1/2'
'-x,y+1/2,-z'
'x,-y+1/2,z'
loop_
_atom_site_label
_atom_site_fract_x
_atom_site_fract_y
_atom_site_fract_z
O1 0.1177 0.2500 0.0897
F1 0.0542 0.2500 0.3092
F2 0.2265 0.7500 0.6301
```

Results
E_tot = -34.611 eV for the cell shown
Energy of formation = -0.496 eV/atom